# 1
A plane-wave DFT calculation with GGA+U was carried out for a relaxed structure of Cr2Ni2H64N13Cl11O12.

Unit cell a=14.633 b=14.633 c=14.633 alpha=60.00 beta=60.00 gamma=60.00
Atoms (fractional coordinates):
Cr 0.000 0.000 0.000
Cr 0.000 0.000 0.500
Cr 0.000 0.500 0.000
Cr 0.500 0.000 0.000
Ni 0.000 0.500 0.500
Ni 0.500 0.000 0.500
Ni 0.500 0.500 0.000
Ni 0.500 0.500 0.500
H 0.053 0.185 0.373
H 0.053 0.373 0.889
H 0.053 0.889 0.185
H 0.070 0.670 0.920
H 0.070 0.840 0.670
H 0.070 0.920 0.840
H 0.080 0.160 0.930
H 0.080 0.330 0.160
H 0.080 0.930 0.330
H 0.090 0.275 0.592
H 0.090 0.543 0.275
H 0.090 0.592 0.543
H 0.097 0.144 0.818
H 0.097 0.441 0.144
H 0.097 0.818 0.441
H 0.111 0.627 0.815
H 0.111 0.815 0.947
H 0.111 0.947 0.627
H 0.144 0.097 0.441
H 0.144 0.441 0.818
H 0.144 0.818 0.097
H 0.153 0.327 0.607
H 0.153 0.413 0.327
H 0.153 0.607 0.413
H 0.160 0.080 0.330
H 0.160 0.330 0.930
H 0.160 0.930 0.080
H 0.182 0.559 0.903
H 0.182 0.856 0.559
H 0.182 0.903 0.856
H 0.185 0.053 0.889
H 0.185 0.373 0.053
H 0.185 0.889 0.373
H 0.275 0.090 0.543
H 0.275 0.543 0.592
H 0.275 0.592 0.090
H 0.327 0.153 0.413
H 0.327 0.413 0.607
H 0.327 0.607 0.153
H 0.330 0.080 0.930
H 0.330 0.160 0.080
H 0.330 0.930 0.160
H 0.346 0.346 0.346
H 0.346 0.346 0.462
H 0.346 0.462 0.346
H 0.373 0.053 0.185
H 0.373 0.185 0.889
H 0.373 0.889 0.053
H 0.393 0.587 0.847
H 0.393 0.673 0.587
H 0.393 0.847 0.673
H 0.408 0.457 0.910
H 0.408 0.725 0.457
H 0.408 0.910 0.725
H 0.413 0.153 0.607
H 0.413 0.327 0.153
H 0.413 0.607 0.327
H 0.441 0.097 0.818
H 0.441 0.144 0.097
H 0.441 0.818 0.144
H 0.457 0.408 0.725
H 0.457 0.725 0.910
H 0.457 0.910 0.408
H 0.462 0.346 0.346
H 0.538 0.654 0.654
H 0.543 0.090 0.592
H 0.543 0.275 0.090
H 0.543 0.592 0.275
H 0.559 0.182 0.856
H 0.559 0.856 0.903
H 0.559 0.903 0.182
H 0.587 0.393 0.673
H 0.587 0.673 0.847
H 0.587 0.847 0.393
H 0.592 0.090 0.275
H 0.592 0.275 0.543
H 0.592 0.543 0.090
H 0.607 0.153 0.327
H 0.607 0.327 0.413
H 0.607 0.413 0.153
H 0.627 0.111 0.947
H 0.627 0.815 0.111
H 0.627 0.947 0.815
H 0.654 0.538 0.654
H 0.654 0.654 0.538
H 0.654 0.654 0.654
H 0.670 0.070 0.840
H 0.670 0.840 0.920
H 0.670 0.920 0.070
H 0.673 0.393 0.847
H 0.673 0.587 0.393
H 0.673 0.847 0.587
H 0.725 0.408 0.910
H 0.725 0.457 0.408
H 0.725 0.910 0.457
H 0.815 0.111 0.627
H 0.815 0.627 0.947
H 0.815 0.947 0.111
H 0.818 0.097 0.144
H 0.818 0.144 0.441
H 0.818 0.441 0.097
H 0.840 0.070 0.920
H 0.840 0.670 0.070
H 0.840 0.920 0.670
H 0.847 0.393 0.587
H 0.847 0.587 0.673
H 0.847 0.673 0.393
H 0.856 0.182 0.903
H 0.856 0.559 0.182
H 0.856 0.903 0.559
H 0.889 0.053 0.373
H 0.889 0.185 0.053
H 0.889 0.373 0.185
H 0.903 0.182 0.559
H 0.903 0.559 0.856
H 0.903 0.856 0.182
H 0.910 0.408 0.457
H 0.910 0.457 0.725
H 0.910 0.725 0.408
H 0.920 0.070 0.670
H 0.920 0.670 0.840
H 0.920 0.840 0.070
H 0.930 0.080 0.160
H 0.930 0.160 0.330
H 0.930 0.330 0.080
H 0.947 0.111 0.815
H 0.947 0.627 0.111
H 0.947 0.815 0.627
N 0.101 0.102 0.399
N 0.101 0.399 0.897
N 0.101 0.897 0.102
N 0.102 0.101 0.897
N 0.102 0.399 0.101
N 0.102 0.897 0.399
N 0.103 0.601 0.898
N 0.103 0.898 0.899
N 0.103 0.899 0.601
N 0.375 0.375 0.375
N 0.399 0.101 0.102
N 0.399 0.102 0.897
N 0.399 0.897 0.101
N 0.601 0.103 0.899
N 0.601 0.898 0.103
N 0.601 0.899 0.898
N 0.625 0.625 0.625
N 0.897 0.101 0.399
N 0.897 0.102 0.101
N 0.897 0.399 0.102
N 0.898 0.103 0.601
N 0.898 0.601 0.899
N 0.898 0.899 0.103
N 0.899 0.103 0.898
N 0.899 0.601 0.103
N 0.899 0.898 0.601
Cl 0.101 0.101 0.649
Cl 0.101 0.649 0.101
Cl 0.101 0.649 0.649
Cl 0.125 0.125 0.125
Cl 0.276 0.276 0.276
Cl 0.276 0.276 0.673
Cl 0.276 0.673 0.276
Cl 0.327 0.724 0.724
Cl 0.351 0.351 0.899
Cl 0.351 0.899 0.351
Cl 0.351 0.899 0.899
Cl 0.649 0.101 0.101
Cl 0.649 0.101 0.649
Cl 0.649 0.649 0.101
Cl 0.673 0.276 0.276
Cl 0.724 0.327 0.724
Cl 0.724 0.724 0.327
Cl 0.724 0.724 0.724
Cl 0.875 0.875 0.875
Cl 0.899 0.351 0.351
Cl 0.899 0.351 0.899
Cl 0.899 0.899 0.351
O 0.101 0.344 0.571
O 0.101 0.483 0.344
O 0.101 0.571 0.483
O 0.344 0.101 0.483
O 0.344 0.483 0.571
O 0.344 0.571 0.101
O 0.429 0.517 0.899
O 0.429 0.656 0.517
O 0.429 0.899 0.656
O 0.483 0.101 0.571
O 0.483 0.344 0.101
O 0.483 0.571 0.344
O 0.517 0.429 0.656
O 0.517 0.656 0.899
O 0.517 0.899 0.429
O 0.571 0.101 0.344
O 0.571 0.344 0.483
O 0.571 0.483 0.101
O 0.656 0.429 0.899
O 0.656 0.517 0.429
O 0.656 0.899 0.517
O 0.899 0.429 0.517
O 0.899 0.517 0.656
O 0.899 0.656 0.429

## Properties
Space group: Fd-3, No. 203
Size of the total moment: 20.000 μB/cell

=====

# 2
A plane-wave DFT calculation with GGA+U was carried out for a relaxed structure of Ca8TiMn7O22.

Unit cell a=7.700 b=7.700 c=7.652 alpha=90.00 beta=90.00 gamma=90.00
Atoms (fractional coordinates):
Ca 0.245 0.245 0.000
Ca 0.245 0.755 0.000
Ca 0.248 0.248 0.512
Ca 0.248 0.752 0.512
Ca 0.752 0.248 0.512
Ca 0.752 0.752 0.512
Ca 0.755 0.245 0.000
Ca 0.755 0.755 0.000
Ti 0.500 0.500 0.245
Mn 0.000 0.000 0.255
Mn 0.000 0.000 0.762
Mn 0.000 0.500 0.269
Mn 0.000 0.500 0.753
Mn 0.500 0.000 0.269
Mn 0.500 0.000 0.753
Mn 0.500 0.500 0.755
O 0.000 0.000 0.010
O 0.000 0.246 0.283
O 0.000 0.246 0.739
O 0.000 0.500 0.012
O 0.000 0.500 0.511
O 0.000 0.754 0.283
O 0.000 0.754 0.739
O 0.246 0.000 0.283
O 0.246 0.000 0.739
O 0.252 0.500 0.741
O 0.253 0.500 0.284
O 0.500 0.000 0.012
O 0.500 0.000 0.511
O 0.500 0.252 0.741
O 0.500 0.253 0.284
O 0.500 0.500 0.014
O 0.500 0.747 0.284
O 0.500 0.748 0.741
O 0.747 0.500 0.284
O 0.748 0.500 0.741
O 0.754 0.000 0.283
O 0.754 0.000 0.739

## Properties
Space group: P4mm, No. 99
Size of the total moment: 25.000 μB/cell

=====

no.,final energy (eV per atom)
1,-4.832
2,-7.071